(1)
Ho2CuB4O10 (PBE-GGA, optimized geometry); size of the total moment = 2.002 μB/cell; corrected total energy (MP2020 scheme) = -281.8 eV for the cell shown; raw total energy = -7.883 eV/atom; SG = P2_1/c (14); formation enthalpy at 0 K = -51.42 eV per formula unit
1.0
7.290 0.000 0.000
0.000 4.605 0.000
0.000 0.076 9.360
B Ho O Cu
8 4 20 2
Direct
0.268 0.540 0.081
0.099 0.472 0.838
0.232 0.540 0.581
0.401 0.472 0.338
0.768 0.460 0.419
0.901 0.528 0.162
0.732 0.460 0.919
0.599 0.528 0.662
0.395 0.004 0.835
0.895 0.996 0.665
0.105 0.004 0.335
0.605 0.996 0.165
0.834 0.657 0.300
0.913 0.323 0.862
0.222 0.359 0.953
0.589 0.215 0.666
0.587 0.323 0.362
0.888 0.229 0.458
0.722 0.641 0.547
0.778 0.641 0.047
0.166 0.343 0.700
0.666 0.657 0.800
0.087 0.677 0.138
0.911 0.215 0.166
0.278 0.359 0.453
0.411 0.785 0.334
0.112 0.771 0.542
0.089 0.785 0.834
0.388 0.771 0.042
0.334 0.343 0.200
0.612 0.229 0.958
0.413 0.677 0.638
0.000 0.000 0.000
0.500 0.000 0.500

---

(2)
CuBIr (PBE-GGA, optimized geometry); raw total energy = -6.727 eV/atom; SG = Fdd2 (43); formation enthalpy at 0 K = -0.56 eV per formula unit
1.0
-4.413 0.298 4.956
-2.801 4.772 2.267
-5.369 -0.475 -0.896
B Ir Cu
4 4 4
Direct
0.684 0.851 0.197
0.268 0.197 0.851
0.399 0.566 0.982
0.053 0.982 0.566
0.379 0.848 0.153
0.097 0.629 0.871
0.402 0.871 0.629
0.621 0.153 0.848
0.459 0.310 0.367
0.864 0.367 0.310
0.940 0.791 0.386
0.883 0.386 0.791

---

(3)
Cu2B3Ir4 (PBE-GGA, optimized geometry); raw total energy = -7.261 eV/atom; SG = Amm2 (38); formation enthalpy at 0 K = -1.76 eV per formula unit
1.0
1.235 1.715 -12.773
-3.775 -2.809 12.061
-1.166 2.557 0.231
Cu B Ir
2 3 4
Direct
0.277 0.723 0.500
0.721 0.279 0.000
0.989 0.011 0.500
0.615 0.385 0.000
0.382 0.618 0.500
0.551 0.449 0.500
0.849 0.151 0.000
0.150 0.850 0.500
0.450 0.550 0.000